The following is a GGA-PBE calculation of AlGaN2 after structural relaxation, from the Materials Project database.

Lattice parameters (Å, degrees): 3.170 3.170 5.139 90.00 90.00 120.00
Fractional positions:
N 0.000 0.000 0.628
N 0.667 0.333 0.112
Al 0.000 0.000 0.999
Ga 0.667 0.333 0.497

Results
- energy of formation (eV/atom) = -1.111
- distance to the lowest polymorph of the same formula (meV/atom) = 0.0
- energy (eV per cell) = -27.17